First-principles (PBE-GGA) data for a relaxed LiSiBiO4 crystal, as listed in the Materials Project.

Lattice parameters (Å, degrees): 6.4079 5.8533 11.3995 64.36 90.00 90.00
Fractional positions:
Li: 0.3677 0.5821 0.5633
Li: 0.8677 0.4179 0.9367
Li: 0.1323 0.5821 0.0633
Li: 0.6323 0.4179 0.4367
Si: 0.6994 0.8084 0.6327
Si: 0.8006 0.8084 0.1326
Si: 0.1994 0.1916 0.8674
Si: 0.3006 0.1916 0.3674
Bi: 0.6653 0.9675 0.8583
Bi: 0.8347 0.9675 0.3583
Bi: 0.1653 0.0325 0.6417
Bi: 0.3347 0.0325 0.1417
O: 0.2971 0.9088 0.9709
O: 0.2029 0.9088 0.4709
O: 0.8529 0.7110 0.7602
O: 0.4698 0.8269 0.6917
O: 0.6866 0.6521 0.5408
O: 0.6471 0.7110 0.2602
O: 0.0302 0.8269 0.1917
O: 0.1866 0.3479 0.9592
O: 0.8134 0.6521 0.0408
O: 0.9698 0.1731 0.8083
O: 0.3529 0.2890 0.7398
O: 0.3134 0.3479 0.4592
O: 0.5302 0.1731 0.3083
O: 0.1471 0.2890 0.2398
O: 0.7971 0.0912 0.5291
O: 0.7029 0.0912 0.0291

Output
Formation enthalpy at 0 K   -2.45 eV/atom
Symmetry   No. 14
Excess energy over the best structure of this formula in the dataset   7.0 kJ per mole of atoms
Uncorrected energy   -181.7 eV/cell
Calculated volume   385.5 Å³/cell